[1]
Compound: NaEuTl2
Source: Materials Project
Functional: r²SCAN
Structure: relaxed

Cell lengths 7.6966, 7.6966, 7.6966 Å; angles 90.00, 90.00, 90.00 degrees
With the nearest neighbours (Å) after each atom.
Fractional positions:
Na 0.0000 0.0000 0.0000  8 Tl 3.33
Na 0.0000 0.5000 0.5000  8 Tl 3.33
Na 0.5000 0.0000 0.5000  8 Tl 3.33
Na 0.5000 0.5000 0.0000  8 Tl 3.33
Eu 0.0000 0.0000 0.5000  8 Tl 3.33
Eu 0.0000 0.5000 0.0000  8 Tl 3.33
Eu 0.5000 0.0000 0.0000  8 Tl 3.33
Eu 0.5000 0.5000 0.5000  8 Tl 3.33
Tl 0.2500 0.2500 0.2500  4 Na 3.33, 4 Eu 3.33
Tl 0.2500 0.2500 0.7500  4 Na 3.33, 4 Eu 3.33
Tl 0.2500 0.7500 0.2500  4 Na 3.33, 4 Eu 3.33
Tl 0.2500 0.7500 0.7500  4 Na 3.33, 4 Eu 3.33
Tl 0.7500 0.2500 0.2500  4 Na 3.33, 4 Eu 3.33
Tl 0.7500 0.2500 0.7500  4 Na 3.33, 4 Eu 3.33
Tl 0.7500 0.7500 0.2500  4 Na 3.33, 4 Eu 3.33
Tl 0.7500 0.7500 0.7500  4 Na 3.33, 4 Eu 3.33

Values from the calculation:
* ΔE_f: -0.36 eV/atom
* energy: -37.47 eV/atom


[2]
Compound: Eu3Nb
Source: Materials Project
Functional: r²SCAN
Structure: relaxed

Cell lengths 5.5332, 5.5332, 8.8361 Å; angles 90.00, 90.00, 90.00 degrees
With the nearest neighbours (Å) after each atom.
Fractional positions:
Eu 0.0000 0.0000 0.0000  8 Eu 3.54, 4 Nb 3.91
Eu 0.0000 0.5000 0.2500  4 Nb 3.54, 8 Eu 3.54-3.91
Eu 0.0000 0.5000 0.7500  4 Nb 3.54, 8 Eu 3.54-3.91
Eu 0.5000 0.0000 0.2500  4 Nb 3.54, 8 Eu 3.54-3.91
Eu 0.5000 0.0000 0.7500  4 Nb 3.54, 8 Eu 3.54-3.91
Eu 0.5000 0.5000 0.5000  8 Eu 3.54, 4 Nb 3.91
Nb 0.0000 0.0000 0.5000  12 Eu 3.54-3.91
Nb 0.5000 0.5000 0.0000  12 Eu 3.54-3.91

Values from the calculation:
* ΔE_f: 0.55 eV/atom
* energy: -34.52 eV/atom


[3]
Compound: NdEu2NbO6
Source: Materials Project
Functional: r²SCAN
Structure: relaxed

Cell lengths 6.0458, 6.0458, 6.0458 Å; angles 60.00, 60.00, 60.00 degrees
With the nearest neighbours (Å) after each atom.
Fractional positions:
Nd 0.0000 0.0000 0.0000  6 O 2.28
Eu 0.2500 0.2500 0.2500  12 O 3.03
Eu 0.7500 0.7500 0.7500  12 O 3.03
Nb 0.5000 0.5000 0.5000  6 O 1.99
O 0.2667 0.2667 0.7333  1 Nb 1.99
O 0.2667 0.7333 0.2667  1 Nb 1.99
O 0.2667 0.7333 0.7333  1 Nb 1.99
O 0.7333 0.2667 0.2667  1 Nb 1.99
O 0.7333 0.2667 0.7333  1 Nb 1.99
O 0.7333 0.7333 0.2667  1 Nb 1.99

Values from the calculation:
* ΔE_f: -3.08 eV/atom
* energy: -19.78 eV/atom


[4]
Compound: Eu3NbO6
Source: Materials Project
Functional: r²SCAN
Structure: relaxed

Cell lengths 5.7667, 6.0355, 10.1152 Å; angles 90.00, 124.74, 90.00 degrees
With the nearest neighbours (Å) after each atom.
Fractional positions:
Eu 0.0000 0.0000 0.0000  6 O 2.35-2.39
Eu 0.0000 0.5000 0.5000  6 O 2.35-2.39
Eu 0.2634 0.0575 0.7456  5 O 2.40-2.67
Eu 0.2634 0.4425 0.2456  5 O 2.40-2.67
Eu 0.7366 0.5575 0.7544  5 O 2.40-2.67
Eu 0.7366 0.9425 0.2544  5 O 2.40-2.67
Nb 0.5000 0.0000 0.5000  6 O 2.01-2.04
Nb 0.5000 0.5000 0.0000  6 O 2.01-2.04
O 0.1548 0.0520 0.2729  1 Nb 2.03
O 0.1548 0.4480 0.7729  1 Nb 2.03
O 0.2717 0.6785 0.0555  1 Nb 2.01
O 0.2717 0.8215 0.5555  1 Nb 2.01
O 0.3992 0.2211 0.0705  1 Nb 2.04
O 0.3992 0.2789 0.5705  1 Nb 2.04
O 0.6008 0.7211 0.4295  1 Nb 2.04
O 0.6008 0.7789 0.9295  1 Nb 2.04
O 0.7283 0.1785 0.4445  1 Nb 2.01
O 0.7283 0.3215 0.9445  1 Nb 2.01
O 0.8452 0.5520 0.2271  1 Nb 2.03
O 0.8452 0.9480 0.7271  1 Nb 2.03

Values from the calculation:
* ΔE_f: -3.20 eV/atom
* energy: -20.82 eV/atom


[5]
Compound: Eu3NbO7
Source: Materials Project
Functional: r²SCAN
Structure: relaxed

Cell lengths 6.5388, 6.5388, 7.6799 Å; angles 90.00, 90.00, 68.24 degrees
With the nearest neighbours (Å) after each atom.
Fractional positions:
Eu 0.0000 0.0000 0.0000  8 O 2.39-2.64
Eu 0.0000 0.0000 0.5000  8 O 2.39-2.64
Eu 0.0597 0.4794 0.7500  6 O 2.24-2.45
Eu 0.4794 0.0597 0.2500  6 O 2.24-2.45
Eu 0.5206 0.9403 0.7500  6 O 2.24-2.45
Eu 0.9403 0.5206 0.2500  6 O 2.24-2.45
Nb 0.5000 0.5000 0.0000  6 O 1.99-2.00
Nb 0.5000 0.5000 0.5000  6 O 1.99-2.00
O 0.1077 0.1540 0.2500  4 Eu 2.24-2.39
O 0.1540 0.1077 0.7500  4 Eu 2.24-2.39
O 0.1777 0.5670 0.0338  1 Nb 2.00
O 0.1777 0.5670 0.4662  1 Nb 2.00
O 0.4286 0.5714 0.7500  2 Nb 1.99
O 0.4330 0.8223 0.0338  1 Nb 2.00
O 0.4330 0.8223 0.4662  1 Nb 2.00
O 0.5670 0.1777 0.5338  1 Nb 2.00
O 0.5670 0.1777 0.9662  1 Nb 2.00
O 0.5714 0.4286 0.2500  2 Nb 1.99
O 0.8223 0.4330 0.5338  1 Nb 2.00
O 0.8223 0.4330 0.9662  1 Nb 2.00
O 0.8460 0.8923 0.2500  4 Eu 2.24-2.39
O 0.8923 0.8460 0.7500  4 Eu 2.24-2.39

Values from the calculation:
* ΔE_f: -3.06 eV/atom
* distance to the lowest polymorph of the same formula: 15 meV per atom
* energy: -19.61 eV/atom


[6]
Compound: Eu3NbO7
Source: Materials Project
Functional: r²SCAN
Structure: relaxed

Cell lengths 6.5395, 6.5395, 7.6816 Å; angles 90.00, 90.00, 110.53 degrees
With the nearest neighbours (Å) after each atom.
Fractional positions:
Eu 0.0012 0.0012 0.0000  8 O 2.36-2.64
Eu 0.0321 0.4978 0.2511  6 O 2.25-2.47
Eu 0.4978 0.0321 0.7489  6 O 2.25-2.47
Eu 0.5022 0.9679 0.2489  6 O 2.25-2.47
Eu 0.9679 0.5022 0.7511  6 O 2.25-2.47
Eu 0.9988 0.9988 0.5000  8 O 2.36-2.64
Nb 0.4997 0.4997 0.0000  6 O 1.99-2.03
Nb 0.5003 0.5003 0.5000  6 O 1.99-2.03
O 0.1281 0.8719 0.7500  4 Eu 2.27-2.36
O 0.1360 0.8640 0.2500  4 Eu 2.25-2.41
O 0.1770 0.4238 0.9710  1 Nb 2.00
O 0.1797 0.4269 0.5315  1 Nb 1.99
O 0.4238 0.1770 0.0290  1 Nb 2.00
O 0.4269 0.1797 0.4685  1 Nb 1.99
O 0.4388 0.5612 0.2500  2 Nb 2.03
O 0.5612 0.4388 0.7500  2 Nb 2.03
O 0.5731 0.8203 0.9685  1 Nb 1.99
O 0.5762 0.8230 0.5290  1 Nb 2.00
O 0.8203 0.5731 0.0315  1 Nb 1.99
O 0.8230 0.5762 0.4710  1 Nb 2.00
O 0.8640 0.1360 0.7500  4 Eu 2.25-2.41
O 0.8719 0.1281 0.2500  4 Eu 2.27-2.36

Values from the calculation:
* ΔE_f: -3.07 eV/atom
* distance to the lowest polymorph of the same formula: 0 meV per atom
* energy: -19.63 eV/atom


Taking the records one at a time from the top gives size of the total moment values of 1.773 6.441 1.400 2.000 1.636 1.636 μB/atom.